No. 1
An optimized crystal structure of LiMnP3O9. Source: the Materials Project database, functional PBE+U.

Unit cell a=6.1913 b=9.9904 c=11.7199 alpha=90.01 beta=100.15 gamma=89.99
Last column: nearest neighbours and their distance in Å.
Element x y z (fractional)
O 0.1097 0.2843 0.0404  2 P 1.59-1.61
O 0.2731 0.0458 0.1372  1 P 1.51
O 0.0266 0.3499 0.8241  1 P 1.51
O 0.0273 0.6490 0.8256  1 P 1.51
O 0.5183 0.8982 0.2665  2 P 1.59-1.61
O 0.7157 0.8399 0.4657  1 P 1.51
O 0.7020 0.0010 0.8504  1 P 1.51
O 0.2020 0.0010 0.3504  1 P 1.51
O 0.6604 0.8174 0.6930  2 P 1.59-1.61
O 0.2683 0.3982 0.5165  2 P 1.59-1.61
O 0.9660 0.3399 0.2157  1 P 1.51
O 0.1930 0.1143 0.8971  1 P 1.51
O 0.7683 0.3982 0.0166  2 P 1.59-1.61
O 0.5266 0.3499 0.3240  1 P 1.51
O 0.7765 0.8499 0.0740  1 P 1.51
O 0.0231 0.5457 0.3872  1 P 1.51
O 0.1604 0.8174 0.1930  2 P 1.59-1.61
O 0.2159 0.8399 0.9657  1 P 1.51
O 0.2772 0.1491 0.5756  1 P 1.51
O 0.9520 0.5010 0.6004  1 P 1.51
O 0.3597 0.7844 0.7904  2 P 1.59-1.61
O 0.4659 0.3400 0.7157  1 P 1.51
O 0.0182 0.8982 0.7666  2 P 1.59-1.61
O 0.9105 0.3174 0.4430  2 P 1.59-1.61
O 0.4105 0.3174 0.9430  2 P 1.59-1.61
O 0.7730 0.0457 0.6372  1 P 1.51
O 0.8597 0.7844 0.2904  2 P 1.59-1.61
O 0.4428 0.6144 0.6471  1 P 1.51
O 0.6097 0.2843 0.5404  2 P 1.59-1.61
O 0.6929 0.1143 0.3971  1 P 1.51
O 0.4520 0.5010 0.1004  1 P 1.51
O 0.7773 0.1491 0.0756  1 P 1.51
O 0.5273 0.6490 0.3256  1 P 1.51
O 0.9429 0.6144 0.1471  1 P 1.51
O 0.5229 0.5457 0.8872  1 P 1.51
O 0.2765 0.8499 0.5740  1 P 1.51
Mn 0.2485 0.5000 0.2500  6 O 2.33-2.35
Mn 0.7479 0.5000 0.7500  6 O 2.33-2.35
Mn 0.4984 0.0000 0.0000  6 O 2.33-2.35
Mn 0.9977 0.0000 0.5000  6 O 2.33-2.35
P 0.8944 0.2816 0.0963  4 O 1.51-1.61
P 0.6443 0.7815 0.3463  4 O 1.51-1.61
P 0.0257 0.4555 0.4906  4 O 1.51-1.61
P 0.3944 0.2816 0.5963  4 O 1.51-1.61
P 0.6665 0.2629 0.4130  4 O 1.51-1.61
P 0.4164 0.7629 0.6630  4 O 1.51-1.61
P 0.1666 0.2629 0.9130  4 O 1.51-1.61
P 0.1443 0.7816 0.8464  4 O 1.51-1.61
P 0.5257 0.4555 0.9907  4 O 1.51-1.61
P 0.2757 0.9555 0.2406  4 O 1.51-1.61
P 0.9164 0.7629 0.1630  4 O 1.51-1.61
P 0.7757 0.9555 0.7407  4 O 1.51-1.61
Li 0.0036 0.0000 0.0000  6 O 2.15-2.33
Li 0.2530 0.5000 0.7500  6 O 2.15-2.32
Li 0.7536 0.5000 0.2500  6 O 2.15-2.33
Li 0.5029 0.0000 0.5000  6 O 2.15-2.32

Output
Largest piezoelectric modulus   1.7 C/m2

---

No. 2
An optimized crystal structure of LiNi2OF3. Source: the Materials Project database, functional PBE+U.

Unit cell a=5.9838 b=6.0892 c=8.6079 alpha=90.00 beta=90.00 gamma=90.00
Last column: nearest neighbours and their distance in Å.
Element x y z (fractional)
Li 0.7500 0.5273 0.3937  1 O 1.92, 3 F 2.00-2.01
Li 0.7500 0.0273 0.1063  1 O 1.92, 3 F 2.00-2.01
Li 0.2500 0.4727 0.6063  1 O 1.92, 3 F 2.00-2.01
Li 0.2500 0.9727 0.8937  1 O 1.92, 3 F 2.00-2.01
Ni 0.2500 0.7460 0.2382  1 O 1.94, 5 F 2.08-2.09
Ni 0.5000 0.5000 0.0000  2 O 1.96, 4 F 2.14-2.16
Ni 0.0000 0.5000 0.0000  2 O 1.96, 4 F 2.14-2.16
Ni 0.2500 0.2460 0.2618  1 O 1.94, 5 F 2.08-2.09
Ni 0.5000 0.0000 0.5000  2 O 1.96, 4 F 2.14-2.16
Ni 0.7500 0.2540 0.7618  1 O 1.94, 5 F 2.08-2.09
Ni 0.0000 0.0000 0.5000  2 O 1.96, 4 F 2.14-2.16
Ni 0.7500 0.7540 0.7382  1 O 1.94, 5 F 2.08-2.09
F 0.9883 0.5050 0.7488  1 Li 2.00, 3 Ni 2.08-2.16
F 0.9883 0.0050 0.7512  1 Li 2.00, 3 Ni 2.08-2.16
F 0.4883 0.4950 0.2512  1 Li 2.00, 3 Ni 2.08-2.16
F 0.0117 0.4950 0.2512  1 Li 2.00, 3 Ni 2.08-2.16
F 0.5117 0.0050 0.7512  1 Li 2.00, 3 Ni 2.08-2.16
F 0.7500 0.7501 0.9801  1 Li 2.01, 3 Ni 2.08-2.14
F 0.2500 0.2499 0.0199  1 Li 2.01, 3 Ni 2.08-2.14
F 0.4883 0.9950 0.2488  1 Li 2.00, 3 Ni 2.08-2.16
F 0.7500 0.2501 0.5199  1 Li 2.01, 3 Ni 2.08-2.14
F 0.5117 0.5050 0.7488  1 Li 2.00, 3 Ni 2.08-2.16
F 0.0117 0.9950 0.2488  1 Li 2.00, 3 Ni 2.08-2.16
F 0.2500 0.7499 0.4801  1 Li 2.01, 3 Ni 2.08-2.14
O 0.2500 0.2080 0.4857  1 Li 1.92, 3 Ni 1.94-1.96
O 0.7500 0.7920 0.5143  1 Li 1.92, 3 Ni 1.94-1.96
O 0.7500 0.2920 0.9857  1 Li 1.92, 3 Ni 1.94-1.96
O 0.2500 0.7080 0.0143  1 Li 1.92, 3 Ni 1.94-1.96

---

No. 3
An optimized crystal structure of MgCr4W2O12. Source: the Materials Project database, functional PBE+U.

Unit cell a=4.7723 b=4.7722 c=9.2508 alpha=90.00 beta=90.00 gamma=90.00
Last column: nearest neighbours and their distance in Å.
Element x y z (fractional)
Cr 0.0000 0.0000 0.3346  6 O 2.02-2.09
Cr 0.0000 0.0000 0.6585  6 O 1.99-2.08
Cr 0.5000 0.5000 0.1654  6 O 2.02-2.09
Cr 0.5000 0.5000 0.8415  6 O 1.99-2.08
W 0.0000 0.0000 0.0087  6 O 1.97-2.10
W 0.5000 0.5000 0.4913  6 O 1.97-2.10
O 0.8004 0.2094 0.5042  2 Cr 1.99-2.09, 1 W 2.00
O 0.3057 0.3023 0.6677  1 Mg 1.90, 2 Cr 2.05-2.08, 1 W 2.10
O 0.3078 0.3057 0.3319  1 W 1.97, 2 Cr 2.02-2.07
O 0.8057 0.1922 0.1681  1 W 1.97, 2 Cr 2.02-2.07
O 0.8023 0.1942 0.8323  1 Mg 1.90, 2 Cr 2.05-2.08, 1 W 2.10
O 0.7094 0.6996 0.9958  2 Cr 1.99-2.09, 1 W 2.00
O 0.1943 0.8078 0.1681  1 W 1.97, 2 Cr 2.02-2.07
O 0.1996 0.7906 0.5042  2 Cr 1.99-2.09, 1 W 2.00
O 0.2906 0.3004 0.9958  2 Cr 1.99-2.09, 1 W 2.00
O 0.6943 0.6977 0.6677  1 Mg 1.90, 2 Cr 2.05-2.08, 1 W 2.10
O 0.1977 0.8058 0.8323  1 Mg 1.90, 2 Cr 2.05-2.08, 1 W 2.10
O 0.6922 0.6943 0.3319  1 W 1.97, 2 Cr 2.02-2.07
Mg 0.0000 0.5000 0.7500  4 O 1.90

---

No. 4
An optimized crystal structure of Li6Ni2PC4O16. Source: the Materials Project database, functional PBE+U.

Unit cell a=9.3261 b=9.3261 c=9.3261 alpha=60.00 beta=60.00 gamma=60.00
Last column: nearest neighbours and their distance in Å.
Element x y z (fractional)
O 0.0347 0.9130 0.2953  1 C 1.30
O 0.9533 0.6822 0.6822  1 P 1.55
O 0.9547 0.4931 0.2153  1 C 1.30
O 0.2953 0.7569 0.0347  1 C 1.30
O 0.9547 0.3370 0.4931  1 C 1.30
O 0.2953 0.0347 0.9130  1 C 1.30
O 0.4931 0.3370 0.2153  1 C 1.30
O 0.7569 0.0347 0.2953  1 C 1.30
O 0.9130 0.0347 0.7569  1 C 1.30
O 0.9547 0.2153 0.3370  1 C 1.30
O 0.5678 0.5678 0.5678  1 P 1.55
O 0.0347 0.7569 0.9130  1 C 1.30
O 0.5678 0.5678 0.2967  1 P 1.55
O 0.6822 0.6822 0.6822  1 P 1.55
O 0.2153 0.9547 0.4931  1 C 1.30
O 0.7569 0.9130 0.0347  1 C 1.30
O 0.2967 0.5678 0.5678  1 P 1.55
O 0.6822 0.9533 0.6822  1 P 1.55
O 0.9130 0.7569 0.2953  1 C 1.30
O 0.4931 0.9547 0.3370  1 C 1.30
O 0.5678 0.2967 0.5678  1 P 1.55
O 0.4931 0.2153 0.9547  1 C 1.30
O 0.3370 0.2153 0.4931  1 C 1.30
O 0.3370 0.4931 0.9547  1 C 1.30
O 0.6822 0.6822 0.9533  1 P 1.55
O 0.7569 0.2953 0.9130  1 C 1.30
O 0.2953 0.9130 0.7569  1 C 1.30
O 0.9130 0.2953 0.0347  1 C 1.30
O 0.0347 0.2953 0.7569  1 C 1.30
O 0.2153 0.4931 0.3370  1 C 1.30
O 0.2153 0.3370 0.9547  1 C 1.30
O 0.3370 0.9547 0.2153  1 C 1.30
P 0.7500 0.7500 0.7500  4 O 1.55
P 0.5000 0.5000 0.5000  4 O 1.55
Li 0.7176 0.2824 0.7176  6 O 2.10-2.35
Li 0.9676 0.5324 0.5324  6 O 2.10-2.35
Li 0.7176 0.2824 0.2824  6 O 2.10-2.35
Li 0.5324 0.9676 0.9676  6 O 2.10-2.35
Li 0.5324 0.5324 0.9676  6 O 2.10-2.35
Li 0.2824 0.2824 0.7176  6 O 2.10-2.35
Li 0.5324 0.9676 0.5324  6 O 2.10-2.35
Li 0.9676 0.5324 0.9676  6 O 2.10-2.35
Li 0.9676 0.9676 0.5324  6 O 2.10-2.35
Li 0.2824 0.7176 0.7176  6 O 2.10-2.35
Li 0.7176 0.7176 0.2824  6 O 2.10-2.35
Li 0.2824 0.7176 0.2824  6 O 2.10-2.35
C 0.9019 0.9019 0.9019  3 O 1.30
C 0.3481 0.3481 0.3481  3 O 1.30
C 0.9557 0.3481 0.3481  3 O 1.30
C 0.2943 0.9019 0.9019  3 O 1.30
C 0.3481 0.9557 0.3481  3 O 1.30
C 0.9019 0.2943 0.9019  3 O 1.30
C 0.3481 0.3481 0.9557  3 O 1.30
C 0.9019 0.9019 0.2943  3 O 1.30
Ni 0.1250 0.1250 0.1250  6 O 2.08
Ni 0.1250 0.6250 0.1250  6 O 2.08
Ni 0.1250 0.1250 0.6250  6 O 2.08
Ni 0.6250 0.1250 0.1250  6 O 2.08

---

No. 5
An optimized crystal structure of BaCaCeCrO6. Source: the Materials Project database, functional PBE+U.

Unit cell a=5.8837 b=5.8837 c=5.8837 alpha=60.00 beta=60.00 gamma=60.00
Last column: nearest neighbours and their distance in Å.
Element x y z (fractional)
O 0.7341 0.2659 0.7341  1 Cr 1.95
O 0.7341 0.2659 0.2659  1 Cr 1.95
O 0.2659 0.7341 0.7341  1 Cr 1.95
O 0.2659 0.2659 0.7341  1 Cr 1.95
O 0.7341 0.7341 0.2659  1 Cr 1.95
O 0.2659 0.7341 0.2659  1 Cr 1.95
Cr 0.5000 0.5000 0.5000  6 O 1.95
Ce 0.0000 0.0000 0.0000  6 O 2.21
Ca 0.2500 0.2500 0.2500  12 O 2.94
Ba 0.7500 0.7500 0.7500  12 O 2.94

---

No. 6
An optimized crystal structure of Na2Cr2O7. Source: the Materials Project database, functional PBE+U.

Unit cell a=7.0490 b=7.1159 c=7.3407 alpha=113.99 beta=89.38 gamma=94.92
Last column: nearest neighbours and their distance in Å.
Element x y z (fractional)
Cr 0.3393 0.2371 0.7592  4 O 1.63-1.78
Cr 0.1183 0.3442 0.1845  4 O 1.63-1.79
Cr 0.8817 0.6558 0.8155  4 O 1.63-1.79
Cr 0.6607 0.7629 0.2408  4 O 1.63-1.78
Na 0.1553 0.8673 0.2353  5 O 2.39-2.67
Na 0.8447 0.1327 0.7647  5 O 2.39-2.67
Na 0.3839 0.7318 0.6612  5 O 2.38-2.66
Na 0.6161 0.2682 0.3388  5 O 2.38-2.66
O 0.5131 0.1587 0.8478  1 Cr 1.63
O 0.2631 0.2039 0.2355  1 Cr 1.63
O 0.7773 0.9650 0.4133  1 Cr 1.64
O 0.0996 0.7657 0.8462  1 Cr 1.64
O 0.7369 0.7961 0.7645  1 Cr 1.63
O 0.5768 0.6015 0.3349  1 Cr 1.63
O 0.8658 0.4202 0.6433  1 Cr 1.63
O 0.4869 0.8413 0.1522  1 Cr 1.63
O 0.1772 0.3570 0.9513  2 Cr 1.78-1.79
O 0.2227 0.0350 0.5867  1 Cr 1.64
O 0.9004 0.2343 0.1538  1 Cr 1.64
O 0.4232 0.3985 0.6651  1 Cr 1.63
O 0.1342 0.5798 0.3567  1 Cr 1.63
O 0.8228 0.6430 0.0487  2 Cr 1.78-1.79

---

Computed values of E_tot (unit: eV per atom) for the preceding records, in sequence: -7.11; -4.59; -7.52; -6.47; -7.26; -6.19.
Computed values of formation energy (unit: meV per atom) for the preceding records, in sequence: -2544; -2161; -2232; -2042; -2951; -1851.